Entry 1:
K2Co2Mo3O12 | PBE with a Hubbard U | relaxed

Lattice parameters (Å, degrees): 8.3879 14.2325 20.1124 74.30 90.00 90.00
Element x y z (fractional)
K 0.3198 0.9871 0.7825
K 0.9772 0.2895 0.5844
K 0.0142 0.8988 0.5882
K 0.4772 0.7105 0.9156
K 0.5228 0.2895 0.0844
K 0.0228 0.7105 0.4156
K 0.0170 0.4986 0.7356
K 0.5142 0.1012 0.9118
K 0.8198 0.0129 0.7175
K 0.4830 0.4986 0.2356
K 0.4858 0.8988 0.0882
K 0.9858 0.1012 0.4118
K 0.5170 0.5014 0.7644
K 0.1802 0.9871 0.2825
K 0.9830 0.5014 0.2644
K 0.6802 0.0129 0.2175
Co 0.0462 0.7101 0.9467
Co 0.3756 0.2214 0.4299
Co 0.9538 0.2899 0.0533
Co 0.5462 0.2899 0.5533
Co 0.8290 0.5859 0.8760
Co 0.0677 0.8832 0.1582
Co 0.1710 0.4141 0.1240
Co 0.1244 0.2214 0.9299
Co 0.3290 0.4141 0.6240
Co 0.5677 0.1168 0.3418
Co 0.4538 0.7101 0.4467
Co 0.8756 0.7786 0.0701
Co 0.6710 0.5859 0.3760
Co 0.6244 0.7786 0.5701
Co 0.9323 0.1168 0.8418
Co 0.4323 0.8832 0.6582
Mo 0.3605 0.9604 0.4501
Mo 0.2358 0.2575 0.7559
Mo 0.6264 0.2511 0.7322
Mo 0.8605 0.0396 0.0499
Mo 0.2024 0.1204 0.0877
Mo 0.7643 0.3269 0.8975
Mo 0.1395 0.9604 0.9501
Mo 0.2357 0.6731 0.1025
Mo 0.1264 0.7489 0.7678
Mo 0.6395 0.0396 0.5499
Mo 0.8124 0.5342 0.0471
Mo 0.7642 0.7425 0.2441
Mo 0.7024 0.8796 0.4123
Mo 0.8736 0.2511 0.2322
Mo 0.2976 0.1204 0.5877
Mo 0.2643 0.6731 0.6025
Mo 0.2642 0.2575 0.2559
Mo 0.3736 0.7489 0.2678
Mo 0.1876 0.4658 0.9529
Mo 0.3124 0.4658 0.4529
Mo 0.7357 0.3269 0.3975
Mo 0.6876 0.5342 0.5471
Mo 0.7358 0.7425 0.7441
Mo 0.7976 0.8796 0.9123
O 0.5706 0.2991 0.8757
O 0.8317 0.7666 0.8885
O 0.2297 0.8568 0.7119
O 0.7026 0.8338 0.9972
O 0.3256 0.4886 0.8865
O 0.3530 0.0914 0.4016
O 0.4083 0.3479 0.4595
O 0.7703 0.1432 0.2881
O 0.6716 0.0806 0.0660
O 0.7925 0.7041 0.1677
O 0.3317 0.2334 0.6115
O 0.4382 0.3421 0.7116
O 0.8274 0.2428 0.1460
O 0.9125 0.8367 0.2408
O 0.0618 0.3421 0.2116
O 0.1470 0.0914 0.9016
O 0.4746 0.0335 0.6354
O 0.8166 0.4512 0.8536
O 0.6726 0.2428 0.6460
O 0.4203 0.1724 0.7751
O 0.9294 0.2991 0.3757
O 0.8530 0.9086 0.0984
O 0.7418 0.3149 0.4897
O 0.3611 0.0635 0.1408
O 0.8611 0.9365 0.3592
O 0.1450 0.3542 0.6847
O 0.5875 0.8367 0.7408
O 0.5164 0.1602 0.5235
O 0.1596 0.9786 0.0367
O 0.3284 0.9194 0.9340
O 0.1834 0.5488 0.1464
O 0.4836 0.8398 0.4765
O 0.8550 0.6458 0.3153
O 0.1726 0.7572 0.8540
O 0.1389 0.0635 0.6408
O 0.3274 0.7572 0.3540
O 0.0706 0.7009 0.6243
O 0.3404 0.9786 0.5367
O 0.1716 0.9194 0.4340
O 0.0797 0.1724 0.2751
O 0.3550 0.3542 0.1847
O 0.6834 0.4512 0.3536
O 0.2418 0.6851 0.0103
O 0.0972 0.7660 0.1183
O 0.2075 0.2959 0.8323
O 0.4028 0.7660 0.6183
O 0.8284 0.0806 0.5660
O 0.9746 0.9665 0.8646
O 0.5387 0.4323 0.5660
O 0.9203 0.8276 0.7249
O 0.5972 0.2340 0.3817
O 0.5618 0.6579 0.2884
O 0.6450 0.6458 0.8153
O 0.9613 0.4323 0.0660
O 0.6596 0.0214 0.4633
O 0.0254 0.0335 0.1354
O 0.7947 0.5452 0.4679
O 0.0875 0.1633 0.7592
O 0.9382 0.6579 0.7884
O 0.6389 0.9365 0.8592
O 0.7053 0.5452 0.9679
O 0.7582 0.3149 0.9897
O 0.2053 0.4548 0.5321
O 0.5254 0.9665 0.3646
O 0.0164 0.8398 0.9765
O 0.5797 0.8276 0.2249
O 0.2478 0.6562 0.7522
O 0.8256 0.5114 0.6135
O 0.3166 0.5488 0.6464
O 0.9028 0.2340 0.8817
O 0.5917 0.6521 0.5405
O 0.8404 0.0214 0.9633
O 0.0387 0.5677 0.9340
O 0.4294 0.7009 0.1243
O 0.4613 0.5677 0.4340
O 0.2974 0.1662 0.0028
O 0.7478 0.3438 0.7478
O 0.4125 0.1633 0.2592
O 0.9083 0.6521 0.0405
O 0.2703 0.8568 0.2119
O 0.7522 0.3438 0.2478
O 0.1744 0.4886 0.3865
O 0.7974 0.8338 0.4972
O 0.1683 0.2334 0.1115
O 0.2026 0.1662 0.5028
O 0.2925 0.2959 0.3323
O 0.2582 0.6851 0.5103
O 0.6470 0.9086 0.5984
O 0.6744 0.5114 0.1135
O 0.7075 0.7041 0.6677
O 0.0917 0.3479 0.9595
O 0.2947 0.4548 0.0321
O 0.6683 0.7666 0.3885
O 0.7297 0.1432 0.7881
O 0.2522 0.6562 0.2522
O 0.9836 0.1602 0.0235

=====

Entry 2:
K2Co2Mo3O12 | PBE with a Hubbard U | relaxed

Lattice parameters (Å, degrees): 9.1632 7.1060 20.3095 71.68 90.00 90.00
Element x y z (fractional)
K 0.9784 0.4894 0.2757
K 0.0216 0.5106 0.7243
K 0.4562 0.1894 0.0923
K 0.5216 0.4894 0.7757
K 0.9562 0.8106 0.4077
K 0.5438 0.8106 0.9077
K 0.0438 0.1894 0.5923
K 0.4784 0.5106 0.2243
Co 0.3472 0.7241 0.3646
Co 0.4246 0.0741 0.5597
Co 0.0754 0.0741 0.0597
Co 0.9246 0.9259 0.9403
Co 0.1528 0.7241 0.8646
Co 0.8472 0.2759 0.1354
Co 0.5754 0.9259 0.4403
Co 0.6528 0.2759 0.6354
Mo 0.3428 0.0494 0.7289
Mo 0.1631 0.5856 0.0396
Mo 0.3369 0.5856 0.5396
Mo 0.2321 0.1956 0.9020
Mo 0.8428 0.9506 0.7711
Mo 0.6572 0.9506 0.2711
Mo 0.8369 0.4144 0.9604
Mo 0.1572 0.0494 0.2289
Mo 0.7679 0.8044 0.0980
Mo 0.7321 0.8044 0.5980
Mo 0.6631 0.4144 0.4604
Mo 0.2679 0.1956 0.4020
O 0.2368 0.6245 0.4599
O 0.9398 0.1913 0.9620
O 0.2498 0.1621 0.4937
O 0.6202 0.0046 0.6118
O 0.7502 0.8379 0.5063
O 0.5898 0.8309 0.1263
O 0.8798 0.0046 0.1118
O 0.2502 0.1621 0.9937
O 0.7010 0.4562 0.8971
O 0.4568 0.3641 0.5652
O 0.8312 0.5581 0.1455
O 0.8036 0.0059 0.8507
O 0.3036 0.9941 0.6493
O 0.1602 0.8225 0.3034
O 0.0432 0.3641 0.0652
O 0.4398 0.8087 0.5380
O 0.1964 0.9941 0.1493
O 0.7990 0.4562 0.3971
O 0.0898 0.1691 0.3737
O 0.2632 0.6245 0.9599
O 0.3312 0.4419 0.3545
O 0.7089 0.7850 0.7607
O 0.9825 0.1744 0.2205
O 0.7911 0.7850 0.2607
O 0.1202 0.9954 0.8882
O 0.6602 0.1775 0.1966
O 0.0175 0.8256 0.7795
O 0.6964 0.0059 0.3507
O 0.7632 0.3755 0.5401
O 0.5175 0.1744 0.7205
O 0.8398 0.1775 0.6966
O 0.7368 0.3755 0.0401
O 0.3398 0.8225 0.8034
O 0.6688 0.5581 0.6455
O 0.3798 0.9954 0.3882
O 0.1688 0.4419 0.8545
O 0.2990 0.5438 0.1029
O 0.2089 0.2150 0.7393
O 0.4825 0.8256 0.2795
O 0.9102 0.8309 0.6263
O 0.2010 0.5438 0.6029
O 0.0602 0.8087 0.0380
O 0.5432 0.6359 0.4348
O 0.9568 0.6359 0.9348
O 0.5602 0.1913 0.4620
O 0.7498 0.8379 0.0063
O 0.4102 0.1691 0.8737
O 0.2911 0.2150 0.2393

=====

Entry 3:
K2Na4Co2O5 | PBE with a Hubbard U | relaxed

Lattice parameters (Å, degrees): 6.3845 6.3845 10.4830 90.00 90.00 90.00
Element x y z (fractional)
K 0.1961 0.8039 0.5000
K 0.8039 0.1961 0.5000
K 0.3039 0.3039 0.0000
K 0.6961 0.6961 0.0000
Na 0.0000 0.5000 0.7500
Na 0.5000 0.0000 0.7500
Na 0.0000 0.5000 0.2500
Na 0.5000 0.5000 0.2796
Na 0.5000 0.5000 0.7204
Na 0.5000 0.0000 0.2500
Na 0.0000 0.0000 0.7796
Na 0.0000 0.0000 0.2204
Co 0.2137 0.7863 0.0000
Co 0.7137 0.7137 0.5000
Co 0.7863 0.2137 0.0000
Co 0.2863 0.2863 0.5000
O 0.5000 0.5000 0.5000
O 0.2133 0.2133 0.3385
O 0.7867 0.7867 0.6615
O 0.2133 0.2133 0.6615
O 0.7133 0.2867 0.1615
O 0.2867 0.7133 0.8385
O 0.7133 0.2867 0.8385
O 0.2867 0.7133 0.1615
O 0.7867 0.7867 0.3385
O 0.0000 0.0000 0.0000

=====

Entry 4:
K2Na4Co2O5 | PBE with a Hubbard U | relaxed

Lattice parameters (Å, degrees): 6.3859 6.3874 12.2516 58.68 90.00 90.00
Element x y z (fractional)
K 0.8041 0.2854 0.5186
K 0.6959 0.2854 0.0186
K 0.1959 0.7146 0.4814
K 0.3041 0.7146 0.9814
Na 0.5007 0.7753 0.7207
Na 0.9993 0.7753 0.2207
Na 0.4993 0.2247 0.2793
Na 0.0007 0.2247 0.7793
Na 0.0009 0.2544 0.2500
Na 0.4991 0.2544 0.7500
Na 0.9991 0.7456 0.7500
Na 0.5009 0.7456 0.2500
Co 0.2870 0.2122 0.5009
Co 0.7130 0.7878 0.4991
Co 0.2130 0.2122 0.0009
Co 0.7870 0.7878 0.9991
O 0.2145 0.4481 0.3388
O 0.7861 0.8791 0.3362
O 0.2855 0.4481 0.8388
O 0.7139 0.8791 0.8362
O 0.7855 0.5519 0.6612
O 0.2139 0.1209 0.6638
O 0.7145 0.5519 0.1612
O 0.2861 0.1209 0.1638
O 0.5000 0.0000 0.5000
O 0.0000 0.0000 0.0000

=====

Number 1: total DFT energy (no corrections) -986.5 eV per cell, energy relative to the lowest polymorph listed for this composition 0.0 kJ/mol of atoms. Number 2: total DFT energy (no corrections) -487.5 eV per cell, energy relative to the lowest polymorph listed for this composition 7.3 kJ/mol of atoms. Number 3: total DFT energy (no corrections) -108.9 eV per cell, energy relative to the lowest polymorph listed for this composition 32.1 kJ/mol of atoms. Number 4: total DFT energy (no corrections) -117.6 eV per cell, energy relative to the lowest polymorph listed for this composition 0.0 kJ/mol of atoms.